(1)
## GdRh3 (PBE)

Data for a relaxed structure of GdRh3.

Cell lengths 5.2740, 5.2740, 17.6195 Å; angles 90.00, 90.00, 120.00 degrees
With the nearest neighbours (Å) after each atom.
Fractional coordinates of all 24 atoms:
Rh (0.1670, 0.8330, 0.1266)  7 Rh 2.63-2.70
Rh (0.6660, 0.8330, 0.3734)  7 Rh 2.63-2.70
Rh (0.6660, 0.8330, 0.1266)  7 Rh 2.63-2.70
Rh (0.1670, 0.3340, 0.1266)  7 Rh 2.63-2.70
Rh (0.0000, 0.0000, 0.0000)  6 Rh 2.70
Rh (0.1670, 0.3340, 0.3734)  7 Rh 2.63-2.70
Rh (0.8330, 0.6660, 0.6266)  7 Rh 2.63-2.70
Rh (0.0000, 0.0000, 0.5000)  6 Rh 2.70
Rh (0.1670, 0.8330, 0.3734)  7 Rh 2.63-2.70
Rh (0.8330, 0.1670, 0.6266)  7 Rh 2.63-2.70
Rh (0.3340, 0.1670, 0.8734)  7 Rh 2.63-2.70
Rh (0.3340, 0.1670, 0.6266)  7 Rh 2.63-2.70
Rh (0.0000, 0.0000, 0.2500)  6 Rh 2.66
Rh (0.8330, 0.1670, 0.8734)  7 Rh 2.63-2.70
Rh (0.8330, 0.6660, 0.8734)  7 Rh 2.63-2.70
Rh (0.0000, 0.0000, 0.7500)  6 Rh 2.66
Rh (0.3333, 0.6667, 0.2500)  6 Rh 2.65
Rh (0.6667, 0.3333, 0.7500)  6 Rh 2.65
Gd (0.3333, 0.6667, 0.9581)  12 Rh 3.03-3.34, 3 Gd 3.38
Gd (0.6667, 0.3333, 0.4581)  12 Rh 3.03-3.34, 3 Gd 3.38
Gd (0.6667, 0.3333, 0.0419)  12 Rh 3.03-3.34, 3 Gd 3.38
Gd (0.3333, 0.6667, 0.5419)  12 Rh 3.03-3.34, 3 Gd 3.38
Gd (0.6667, 0.3333, 0.2500)  6 Rh 3.04
Gd (0.3333, 0.6667, 0.7500)  6 Rh 3.04

Properties
Energy of formation from the pure elements = -53.1 kJ per mole of atoms

---

(2)
## GdRh5 (PBE)

Data for a relaxed structure of GdRh5.

Cell lengths 5.2649, 5.2649, 4.3331 Å; angles 90.00, 90.00, 120.00 degrees
With the nearest neighbours (Å) after each atom.
Fractional coordinates of all 6 atoms:
Gd (0.0000, 0.0000, 0.0000)  6 Rh 3.04
Rh (0.0000, 0.5000, 0.5000)  8 Rh 2.63-2.65
Rh (0.5000, 0.0000, 0.5000)  8 Rh 2.63-2.65
Rh (0.3333, 0.6667, 0.0000)  6 Rh 2.65
Rh (0.6667, 0.3333, 0.0000)  6 Rh 2.65
Rh (0.5000, 0.5000, 0.5000)  8 Rh 2.63-2.65

Properties
Energy of formation from the pure elements = -28.4 kJ per mole of atoms

---

(3)
## GdSi2Rh3 (PBE)

Data for a relaxed structure of GdSi2Rh3.

Cell lengths 5.5527, 5.5527, 3.6750 Å; angles 90.00, 90.00, 120.00 degrees
With the nearest neighbours (Å) after each atom.
Fractional coordinates of all 6 atoms:
Si (0.3333, 0.6667, 0.0000)  6 Rh 2.44
Si (0.6667, 0.3333, 0.0000)  6 Rh 2.44
Rh (0.5000, 0.5000, 0.5000)  4 Si 2.44
Rh (0.0000, 0.5000, 0.5000)  4 Si 2.44
Rh (0.5000, 0.0000, 0.5000)  4 Si 2.44
Gd (0.0000, 0.0000, 0.0000)  6 Si 3.21, 12 Rh 3.33

Properties
Energy of formation from the pure elements = -98.3 kJ per mole of atoms

---

(4)
## GdSnRh2 (PBE)

Data for a relaxed structure of GdSnRh2.

Cell lengths 4.7454, 4.7454, 4.7454 Å; angles 60.00, 60.00, 60.00 degrees
With the nearest neighbours (Å) after each atom.
Fractional coordinates of all 4 atoms:
Rh (0.2500, 0.2500, 0.2500)  4 Sn 2.91, 4 Gd 2.91
Rh (0.7500, 0.7500, 0.7500)  4 Gd 2.91, 4 Sn 2.91
Gd (0.0000, 0.0000, 0.0000)  8 Rh 2.91
Sn (0.5000, 0.5000, 0.5000)  8 Rh 2.91

Properties
Energy of formation from the pure elements = 54.5 kJ per mole of atoms

---

(5)
## TbGdRh2 (PBE)

Data for a relaxed structure of TbGdRh2.

Cell lengths 4.8830, 4.8830, 4.8830 Å; angles 60.00, 60.00, 60.00 degrees
With the nearest neighbours (Å) after each atom.
Fractional coordinates of all 4 atoms:
Rh (0.2500, 0.2500, 0.2500)  4 Gd 2.99, 4 Tb 2.99
Rh (0.7500, 0.7500, 0.7500)  4 Gd 2.99, 4 Tb 2.99
Gd (0.5000, 0.5000, 0.5000)  8 Rh 2.99
Tb (0.0000, 0.0000, 0.0000)  8 Rh 2.99

Properties
Energy of formation from the pure elements = -79.0 kJ per mole of atoms

---

(6)
## Gd2ZnRh (PBE)

Data for a relaxed structure of Gd2ZnRh.

Cell lengths 5.0157, 5.0157, 5.0157 Å; angles 60.00, 60.00, 60.00 degrees
With the nearest neighbours (Å) after each atom.
Fractional coordinates of all 4 atoms:
Zn (0.0000, 0.0000, 0.0000)  8 Gd 3.07
Gd (0.2500, 0.2500, 0.2500)  4 Rh 3.07, 4 Zn 3.07
Gd (0.7500, 0.7500, 0.7500)  4 Rh 3.07, 4 Zn 3.07
Rh (0.5000, 0.5000, 0.5000)  8 Gd 3.07

Properties
Energy of formation from the pure elements = -54.1 kJ per mole of atoms